[1]
VASP calculation (PBE-GGA) on an optimized crystal structure of RbMnTe2.

The structure in POSCAR format:
```
RbMnTe2
1.0
-2.197 2.197 7.385
2.197 -2.197 7.385
2.197 2.197 -7.385
Te Rb Mn
2 1 1
Direct
0.350 0.350 0.000
0.650 0.650 0.000
0.000 0.000 0.000
0.750 0.250 0.500
```

Values from the calculation:
Magnetization = 4.00 Bohr magnetons per cell
E (MP2020) = -4.78 eV/atom



[2]
VASP calculation (PBE-GGA) on an optimized crystal structure of Ta2MnRe.

The structure in POSCAR format:
```
Ta2MnRe
1.0
0.000 3.146 3.146
3.146 0.000 3.146
3.146 3.146 0.000
Ta Re Mn
2 1 1
Direct
0.250 0.250 0.250
0.750 0.750 0.750
0.000 0.000 0.000
0.500 0.500 0.500
```



[3]
VASP calculation (PBE-GGA) on an optimized crystal structure of Mn3Rh.

The structure in POSCAR format:
```
Mn3Rh
1.0
3.606 0.000 0.000
0.000 3.606 0.000
0.000 0.000 3.606
Mn Rh
3 1
Direct
0.500 0.000 0.500
0.500 0.500 0.000
0.000 0.500 0.500
0.000 0.000 0.000
```

Values from the calculation:
Magnetization = 1.96 Bohr magnetons per cell



[4]
VASP calculation (PBE-GGA) on an optimized crystal structure of MnSbRh.

The structure in POSCAR format:
```
MnSbRh
1.0
-3.054 -3.054 0.000
-3.054 0.000 -3.054
0.000 -3.054 -3.054
Mn Sb Rh
1 1 1
Direct
0.500 0.500 0.500
0.000 0.000 0.000
0.250 0.250 0.250
```

Values from the calculation:
Magnetization = 3.24 Bohr magnetons per cell



[5]
VASP calculation (PBE-GGA) on an optimized crystal structure of MnSbRh.

The structure in POSCAR format:
```
MnSbRh
1.0
0.000 3.064 3.064
3.064 0.000 3.064
3.064 3.064 0.000
Rh Mn Sb
1 1 1
Direct
0.500 0.500 0.500
0.000 0.000 0.000
0.750 0.750 0.750
```

Values from the calculation:
Magnetization = 3.30 Bohr magnetons per cell



[6]
VASP calculation (PBE-GGA) on an optimized crystal structure of MnSbRh.

The structure in POSCAR format:
```
MnSbRh
1.0
0.000 3.015 3.015
3.015 0.000 3.015
3.015 3.015 0.000
Mn Sb Rh
1 1 1
Direct
0.250 0.250 0.250
0.000 0.000 0.000
0.500 0.500 0.500
```

Values from the calculation:
Magnetization = 3.24 Bohr magnetons per cell



[7]
VASP calculation (PBE-GGA) on an optimized crystal structure of MnSbRh2.

The structure in POSCAR format:
```
MnSbRh2
1.0
4.154 0.000 0.000
0.000 4.154 0.000
0.000 0.000 3.655
Sb Rh Mn
1 2 1
Direct
0.500 0.500 0.000
0.000 0.500 0.500
0.500 0.000 0.500
0.000 0.000 0.000
```

Values from the calculation:
Magnetization = 4.18 Bohr magnetons per cell



[8]
VASP calculation (PBE-GGA) on an optimized crystal structure of MnSbRh2.

The structure in POSCAR format:
```
MnSbRh2
1.0
-0.821 0.409 2.833
2.815 -0.418 0.876
1.221 6.886 -0.640
Mn Rh Sb
1 2 1
Direct
0.500 0.500 0.000
0.000 0.000 0.782
0.000 0.000 0.218
0.500 0.500 0.500
```

Values from the calculation:
Magnetization = 4.00 Bohr magnetons per cell



[9]
VASP calculation (PBE-GGA) on an optimized crystal structure of MnSiRh.

The structure in POSCAR format:
```
MnSiRh
1.0
-2.921 2.270 0.977
-3.867 -4.053 -2.145
-0.287 -3.176 6.519
Rh Mn Si
4 4 4
Direct
0.750 0.338 0.936
0.750 0.838 0.564
0.250 0.162 0.436
0.250 0.662 0.064
0.750 0.470 0.319
0.250 0.030 0.819
0.250 0.530 0.681
0.750 0.970 0.181
0.250 0.264 0.122
0.750 0.236 0.622
0.750 0.736 0.878
0.250 0.764 0.378
```

Values from the calculation:
Magnetization = 13.91 Bohr magnetons per cell



[10]
VASP calculation (PBE-GGA) on an optimized crystal structure of ZrMnRh2.

The structure in POSCAR format:
```
ZrMnRh2
1.0
2.971 -3.400 -0.036
-0.351 -3.271 -3.093
3.044 -0.303 -3.321
Mn Rh Zr
1 2 1
Direct
0.500 0.500 0.500
0.250 0.250 0.250
0.750 0.750 0.750
0.000 0.000 0.000
```



[11]
VASP calculation (PBE-GGA) on an optimized crystal structure of Ti2MnRu.

The structure in POSCAR format:
```
Ti2MnRu
1.0
0.000 3.037 3.037
3.037 0.000 3.037
3.037 3.037 0.000
Mn Ru Ti
1 1 2
Direct
0.500 0.500 0.500
0.000 0.000 0.000
0.250 0.250 0.250
0.750 0.750 0.750
```



[12]
VASP calculation (PBE-GGA) on an optimized crystal structure of Mn3S.

The structure in POSCAR format:
```
Mn3S
1.0
3.578 0.000 0.000
0.000 3.578 0.000
0.000 0.000 3.578
Mn S
3 1
Direct
0.500 0.500 0.000
0.000 0.500 0.500
0.500 0.000 0.500
0.000 0.000 0.000
```

Values from the calculation:
Magnetization = 5.39 Bohr magnetons per cell
E (MP2020) = -7.88 eV/atom



[13]
VASP calculation (PBE-GGA) on an optimized crystal structure of MnS.

The structure in POSCAR format:
```
MnS
1.0
3.099 0.000 0.000
0.000 3.099 0.000
0.000 0.000 3.099
Mn S
1 1
Direct
0.500 0.500 0.500
0.000 0.000 0.000
```

Values from the calculation:
Magnetization = 3.29 Bohr magnetons per cell
E (MP2020) = -6.95 eV/atom



[14]
VASP calculation (PBE-GGA) on an optimized crystal structure of Mn2S3.

The structure in POSCAR format:
```
Mn2S3
1.0
5.568 -2.868 0.000
5.568 2.868 0.000
4.091 0.000 4.743
S Mn
6 4
Direct
0.250 0.570 0.930
0.570 0.930 0.250
0.750 0.430 0.070
0.930 0.250 0.570
0.430 0.070 0.750
0.070 0.750 0.430
0.158 0.158 0.158
0.658 0.658 0.658
0.342 0.342 0.342
0.842 0.842 0.842
```

Values from the calculation:
E (MP2020) = -6.99 eV/atom



[15]
VASP calculation (PBE-GGA) on an optimized crystal structure of MnS.

The structure in POSCAR format:
```
MnS
1.0
0.056 -3.520 0.902
-3.815 2.849 4.037
-2.017 -2.384 -1.859
Mn S
2 2
Direct
0.500 0.500 0.500
0.000 0.000 0.000
0.750 0.250 0.750
0.250 0.750 0.250
```

Values from the calculation:
E (MP2020) = -7.38 eV/atom



[16]
VASP calculation (PBE-GGA) on an optimized crystal structure of MnS.

The structure in POSCAR format:
```
MnS
1.0
-1.976 -3.423 0.000
-1.976 3.423 0.000
0.000 0.000 -6.297
S Mn
2 2
Direct
0.667 0.333 0.873
0.333 0.667 0.373
0.333 0.667 0.002
0.667 0.333 0.502
```

Values from the calculation:
Magnetization = 0.00 Bohr magnetons per cell
E (MP2020) = -7.37 eV/atom



[17]
VASP calculation (PBE-GGA) on an optimized crystal structure of MnS.

The structure in POSCAR format:
```
MnS
1.0
0.008 -2.605 2.919
-2.615 0.298 2.895
-2.895 -2.614 0.297
S Mn
1 1
Direct
0.000 0.000 0.000
0.250 0.250 0.250
```

Values from the calculation:
Magnetization = 0.07 Bohr magnetons per cell
E (MP2020) = -7.37 eV/atom



[18]
VASP calculation (PBE-GGA) on an optimized crystal structure of Sm2Mn3Sb4S12.

The structure in POSCAR format:
```
Sm2Mn3Sb4S12
1.0
1.934 9.984 0.000
-1.934 9.984 0.000
0.000 8.860 11.969
S Mn Sm Sb
12 3 2 4
Direct
0.170 0.170 0.102
0.830 0.830 0.898
0.602 0.602 0.977
0.658 0.658 0.546
0.943 0.943 0.198
0.057 0.057 0.802
0.342 0.342 0.454
0.410 0.410 0.653
0.398 0.398 0.023
0.258 0.258 0.290
0.590 0.590 0.347
0.742 0.742 0.710
0.198 0.198 0.622
0.000 0.000 0.000
0.802 0.802 0.378
0.241 0.241 0.863
0.759 0.759 0.137
0.459 0.459 0.816
0.893 0.893 0.548
0.107 0.107 0.452
0.541 0.541 0.184
```

Values from the calculation:
Magnetization = 15.00 Bohr magnetons per cell
E (MP2020) = -5.96 eV/atom



[19]
VASP calculation (PBE-GGA) on an optimized crystal structure of Sc2MnS4.

The structure in POSCAR format:
```
Sc2MnS4
1.0
6.950 0.584 2.770
1.165 -0.676 7.383
3.482 -6.071 2.709
S Sc Mn
8 4 2
Direct
0.881 0.881 0.357
0.357 0.881 0.881
0.369 0.369 0.893
0.369 0.369 0.369
0.369 0.893 0.369
0.881 0.357 0.881
0.881 0.881 0.881
0.893 0.369 0.369
0.125 0.125 0.625
0.125 0.125 0.125
0.125 0.625 0.125
0.625 0.125 0.125
0.750 0.750 0.750
0.500 0.500 0.500
```

Values from the calculation:
E (MP2020) = -7.31 eV/atom



[20]
VASP calculation (PBE-GGA) on an optimized crystal structure of Mn2SeS.

The structure in POSCAR format:
```
Mn2SeS
1.0
5.598 -1.721 0.000
5.598 1.721 0.000
5.069 0.000 2.934
Mn Se S
2 1 1
Direct
0.222 0.222 0.222
0.778 0.778 0.778
0.000 0.000 0.000
0.500 0.500 0.500
```

Values from the calculation:
Magnetization = 3.67 Bohr magnetons per cell
E (MP2020) = -6.71 eV/atom



Taking the records one at a time from the top gives final energy values of -4.5693, -11.6537, -8.6493, -7.1496, -6.8788, -6.8930, -7.2962, -7.0806, -7.8936, -8.6794, -9.0616, -7.7552, -6.6986, -6.6890, -7.1330, -7.1185, -7.1211, -5.6684, -7.0275, -6.5803 eV/atom.
Taking the records one at a time from the top gives energy of formation values of -0.673, -0.323, 0.063, -0.264, 0.006, -0.008, -0.291, -0.076, -0.576, -0.570, -0.505, 0.025, -0.301, -0.844, -0.735, -0.721, -0.723, -1.047, -1.833, -0.217 eV per atom.